SnO2: optimized geometry, PBE.

POSCAR file:
```
SnO2
1.0
-8.373 4.769 -5.287
-7.399 -3.760 6.763
1.256 8.713 5.736
Sn O
30 60
Cartesian
-7.794 4.954 -2.589 Sn
-6.236 7.413 6.372 Sn
-13.494 7.236 4.911 Sn
-9.177 6.106 7.113 Sn
-3.949 5.958 8.629 Sn
-10.363 8.196 3.835 Sn
-4.550 7.097 3.554 Sn
-6.990 2.151 -0.797 Sn
-4.499 2.515 6.452 Sn
-3.436 4.475 -0.461 Sn
-10.245 1.732 -0.149 Sn
-5.557 0.308 3.912 Sn
-8.847 -1.231 3.859 Sn
-11.928 0.290 2.638 Sn
-7.079 4.321 4.378 Sn
-2.948 8.471 6.204 Sn
-5.308 5.477 11.556 Sn
-2.802 5.091 5.400 Sn
-12.402 3.660 1.327 Sn
-11.702 4.295 5.060 Sn
-1.293 2.266 1.045 Sn
-4.471 3.309 2.634 Sn
-8.005 11.536 0.788 Sn
-8.498 2.118 2.732 Sn
-1.271 7.603 3.284 Sn
-7.556 1.934 7.342 Sn
-8.183 8.467 -1.540 Sn
-6.290 5.630 0.746 Sn
-6.933 8.909 2.741 Sn
-9.252 6.642 0.986 Sn
-7.616 10.385 4.047 O
-5.834 6.545 8.188 O
-7.488 5.695 5.866 O
-6.183 0.528 0.471 O
-7.459 4.197 -0.717 O
-8.938 3.618 3.971 O
-6.512 2.899 5.822 O
-9.317 3.952 -3.334 O
-10.253 4.618 6.315 O
-6.498 2.770 3.027 O
-2.992 8.444 4.116 O
-13.475 8.147 6.809 O
-5.165 9.854 3.283 O
-5.617 2.307 8.178 O
-8.588 3.397 8.135 O
-10.456 10.220 3.955 O
-8.558 5.760 9.086 O
-4.207 3.748 4.813 O
-5.171 0.543 6.002 O
-3.413 4.262 7.330 O
-3.103 1.397 0.658 O
-8.935 1.238 6.053 O
0.173 5.847 3.797 O
-8.829 7.811 2.619 O
-10.831 3.633 0.134 O
-9.253 8.424 5.479 O
-9.069 6.604 -2.247 O
-8.076 -1.584 5.689 O
-11.126 6.258 1.511 O
-7.998 5.247 1.800 O
-4.365 6.589 5.687 O
-7.585 6.951 -0.205 O
-5.508 -1.634 4.712 O
-5.183 3.799 0.597 O
-2.770 5.948 3.485 O
-8.341 2.023 0.759 O
-10.412 1.582 2.147 O
-10.765 7.198 7.599 O
-10.629 -0.195 4.431 O
-7.930 7.822 7.528 O
0.010 8.308 4.698 O
-5.952 4.182 -2.784 O
-7.581 9.629 1.018 O
-15.171 2.307 2.383 O
-9.794 8.382 -0.239 O
-13.531 5.179 5.316 O
-4.669 -0.838 2.367 O
-11.555 6.709 4.431 O
-7.469 0.179 8.406 O
-6.427 7.599 4.328 O
-4.846 4.508 9.797 O
-1.724 6.660 6.141 O
-4.065 1.522 3.444 O
-7.589 0.440 3.590 O
-5.515 5.157 3.104 O
-12.202 3.578 3.307 O
-2.765 3.816 1.517 O
-12.844 1.616 1.212 O
-5.581 7.452 1.789 O
-4.669 6.141 -0.659 O
```

Computed properties:
Energy of formation ... -1.83 eV per atom
SG ... P1 (1)